w) {
  "formula": "KSrBiWO6",
  "functional": "GGA+U",
  "state": "optimized geometry",
  "total_magnetization_mub_per_cell": 0.0,
  "rho_g_cm3": 6.7,
  "cell": [[8.4833, 0.0000, 0.0000], [0.0000, 8.4920, 0.0000], [0.0000, 0.0000, 8.5094]],
  "species": ["K", "K", "K", "K", "Sr", "Sr", "Sr", "Sr", "Bi", "Bi", "Bi", "Bi", "W", "W", "W", "W", "O", "O", "O", "O", "O", "O", "O", "O", "O", "O", "O", "O", "O", "O", "O", "O", "O", "O", "O", "O", "O", "O", "O", "O"],
  "frac_coords": [[0.2500, 0.2500, 0.2500], [0.2500, 0.7500, 0.2500], [0.7500, 0.2500, 0.7500], [0.7500, 0.7500, 0.7500], [0.2500, 0.2500, 0.7500], [0.2500, 0.7500, 0.7500], [0.7500, 0.2500, 0.2500], [0.7500, 0.7500, 0.2500], [0.0000, 0.0000, 0.0000], [0.0000, 0.5000, 0.5000], [0.5000, 0.0000, 0.5000], [0.5000, 0.5000, 0.0000], [0.0000, 0.0000, 0.5000], [0.0000, 0.5000, 0.0000], [0.5000, 0.0000, 0.0000], [0.5000, 0.5000, 0.5000], [0.0237, 0.2267, 0.4720], [0.0237, 0.2733, 0.0280], [0.0389, 0.0257, 0.7277], [0.0389, 0.4743, 0.7723], [0.2265, 0.5297, 0.0184], [0.2265, 0.9703, 0.4816], [0.2735, 0.5297, 0.4816], [0.2735, 0.9703, 0.0184], [0.4611, 0.0257, 0.7723], [0.4611, 0.4743, 0.7277], [0.4763, 0.2267, 0.0280], [0.4763, 0.2733, 0.4720], [0.5237, 0.7267, 0.5280], [0.5237, 0.7733, 0.9720], [0.5389, 0.5257, 0.2723], [0.5389, 0.9743, 0.2277], [0.7265, 0.0297, 0.9816], [0.7265, 0.4703, 0.5184], [0.7735, 0.0297, 0.5184], [0.7735, 0.4703, 0.9816], [0.9611, 0.5257, 0.2277], [0.9611, 0.9743, 0.2723], [0.9763, 0.7267, 0.9720], [0.9763, 0.7733, 0.5280]]
}

x) {
  "formula": "KSrBiWO6",
  "functional": "GGA+U",
  "state": "optimized geometry",
  "total_magnetization_mub_per_cell": 0.0,
  "rho_g_cm3": 6.6,
  "cell": [[0.0000, 4.2724, 4.2724], [4.2724, 0.0000, 4.2724], [4.2724, 4.2724, 0.0000]],
  "species": ["K", "Sr", "Bi", "W", "O", "O", "O", "O", "O", "O"],
  "frac_coords": [[0.0000, 0.0000, 0.0000], [0.5000, 0.5000, 0.5000], [0.7500, 0.7500, 0.7500], [0.2500, 0.2500, 0.2500], [0.0217, 0.0217, 0.4783], [0.0217, 0.4783, 0.0217], [0.0217, 0.4783, 0.4783], [0.4783, 0.0217, 0.0217], [0.4783, 0.0217, 0.4783], [0.4783, 0.4783, 0.0217]]
}

Most stable = w)

w) {
  "formula": "Li2Ni2BiO6",
  "functional": "GGA+U",
  "state": "optimized geometry",
  "total_magnetization_mub_per_cell": 6.0,
  "rho_g_cm3": 5.8,
  "cell": [[4.5858, -2.6775, 0.0000], [4.5858, 2.6775, 0.0000], [0.0000, 0.0000, 10.1597]],
  "species": ["Li", "Li", "Li", "Li", "Ni", "Ni", "Ni", "Ni", "Bi", "Bi", "O", "O", "O", "O", "O", "O", "O", "O", "O", "O", "O", "O"],
  "frac_coords": [[0.1548, 0.3452, 0.2500], [0.3452, 0.1548, 0.7500], [0.6548, 0.8452, 0.2500], [0.8452, 0.6548, 0.7500], [0.1650, 0.1650, 0.0000], [0.3350, 0.3350, 0.5000], [0.6650, 0.6650, 0.5000], [0.8350, 0.8350, 0.0000], [0.0000, 0.0000, 0.5000], [0.5000, 0.5000, 0.0000], [0.0249, 0.3348, 0.6113], [0.1519, 0.8481, 0.1006], [0.1652, 0.4751, 0.8887], [0.3348, 0.0249, 0.3887], [0.3481, 0.6519, 0.6006], [0.4751, 0.1652, 0.1113], [0.5249, 0.8348, 0.8887], [0.6519, 0.3481, 0.3994], [0.6652, 0.9751, 0.6113], [0.8348, 0.5249, 0.1113], [0.8481, 0.1519, 0.8994], [0.9751, 0.6652, 0.3887]]
}

x) {
  "formula": "Li2Ni2BiO6",
  "functional": "GGA+U",
  "state": "optimized geometry",
  "total_magnetization_mub_per_cell": 0.0,
  "rho_g_cm3": 5.8,
  "cell": [[2.6869, -4.5833, 0.0000], [2.6869, 4.5833, 0.0000], [-0.0218, 0.0000, 10.1768]],
  "species": ["Li", "Li", "Li", "Li", "Ni", "Ni", "Ni", "Ni", "Bi", "Bi", "O", "O", "O", "O", "O", "O", "O", "O", "O", "O", "O", "O"],
  "frac_coords": [[0.1011, 0.1011, 0.2501], [0.4009, 0.3970, 0.7500], [0.6030, 0.5991, 0.2500], [0.8989, 0.8989, 0.7499], [0.0905, 0.9095, 0.5000], [0.4196, 0.5804, 0.5000], [0.5823, 0.4177, 0.0000], [0.9114, 0.0886, 0.0000], [0.2430, 0.7570, 0.0000], [0.7589, 0.2411, 0.5000], [0.0878, 0.2278, 0.6157], [0.1156, 0.5828, 0.3991], [0.2290, 0.0851, 0.8843], [0.2816, 0.4194, 0.1069], [0.4172, 0.8844, 0.6009], [0.4206, 0.2791, 0.3932], [0.5806, 0.7184, 0.8931], [0.5857, 0.1147, 0.1009], [0.7209, 0.5794, 0.6068], [0.7722, 0.9122, 0.3843], [0.8853, 0.4143, 0.8991], [0.9149, 0.7710, 0.1157]]
}

Most stable = x)

w) {
  "formula": "Li2V3BiO8",
  "functional": "GGA+U",
  "state": "optimized geometry",
  "total_magnetization_mub_per_cell": 16.0,
  "rho_g_cm3": 5.0,
  "cell": [[6.1879, -6.2073, 0.0000], [6.1879, 6.2073, 0.0000], [-0.0032, 0.0000, 8.7385]],
  "species": ["Li", "Li", "Li", "Li", "Li", "Li", "Li", "Li", "V", "V", "V", "V", "V", "V", "V", "V", "V", "V", "V", "V", "Bi", "Bi", "Bi", "Bi", "O", "O", "O", "O", "O", "O", "O", "O", "O", "O", "O", "O", "O", "O", "O", "O", "O", "O", "O", "O", "O", "O", "O", "O", "O", "O", "O", "O", "O", "O", "O", "O"],
  "frac_coords": [[0.1236, 0.1236, 0.1193], [0.1285, 0.6204, 0.6277], [0.3726, 0.3795, 0.8721], [0.3796, 0.8715, 0.3723], [0.6205, 0.6274, 0.1279], [0.6241, 0.1284, 0.6226], [0.8716, 0.3759, 0.3774], [0.8764, 0.8764, 0.8807], [0.0209, 0.9791, 0.5000], [0.2342, 0.4841, 0.2514], [0.2478, 0.2349, 0.4826], [0.2640, 0.0015, 0.7318], [0.4826, 0.2523, 0.2314], [0.5008, 0.0172, 0.9862], [0.5159, 0.7658, 0.7486], [0.7303, 0.2697, 0.0000], [0.7477, 0.5174, 0.7686], [0.7651, 0.7522, 0.5174], [0.9828, 0.4992, 0.0138], [0.9985, 0.7360, 0.2682], [0.2499, 0.7501, 0.0000], [0.5012, 0.4988, 0.5000], [0.7482, 0.0078, 0.2503], [0.9922, 0.2518, 0.7497], [0.0017, 0.5120, 0.2434], [0.0145, 0.9490, 0.2590], [0.0226, 0.2125, 0.4850], [0.0510, 0.9855, 0.7410], [0.2099, 0.4887, 0.0164], [0.2281, 0.7116, 0.2623], [0.2384, 0.4595, 0.4887], [0.2493, 0.0049, 0.5035], [0.2514, 0.2523, 0.2610], [0.2676, 0.2286, 0.7029], [0.2696, 0.0145, 0.9617], [0.2884, 0.7719, 0.7377], [0.4593, 0.4870, 0.2395], [0.4779, 0.2375, 0.4611], [0.4861, 0.0112, 0.2020], [0.4880, 0.9983, 0.7566], [0.5017, 0.2452, 0.0015], [0.5113, 0.7901, 0.9836], [0.5130, 0.5407, 0.7605], [0.5405, 0.7616, 0.5113], [0.7120, 0.2617, 0.2407], [0.7250, 0.0363, 0.9839], [0.7383, 0.2880, 0.7593], [0.7477, 0.7486, 0.7390], [0.7548, 0.4983, 0.9985], [0.7625, 0.5221, 0.5389], [0.7714, 0.7324, 0.2971], [0.7875, 0.9774, 0.5150], [0.9637, 0.2750, 0.0161], [0.9855, 0.7304, 0.0383], [0.9888, 0.5139, 0.7980], [0.9951, 0.7507, 0.4965]]
}

x) {
  "formula": "Li2V3BiO8",
  "functional": "GGA+U",
  "state": "optimized geometry",
  "total_magnetization_mub_per_cell": 16.0,
  "rho_g_cm3": 5.0,
  "cell": [[8.7122, 0.0000, 0.0000], [0.0346, 8.7987, 0.0000], [0.0078, 0.0015, 8.8034]],
  "species": ["Li", "Li", "Li", "Li", "Li", "Li", "Li", "Li", "V", "V", "V", "V", "V", "V", "V", "V", "V", "V", "V", "V", "Bi", "Bi", "Bi", "Bi", "O", "O", "O", "O", "O", "O", "O", "O", "O", "O", "O", "O", "O", "O", "O", "O", "O", "O", "O", "O", "O", "O", "O", "O", "O", "O", "O", "O", "O", "O", "O", "O"],
  "frac_coords": [[0.0000, 0.0000, 0.0000], [0.0034, 0.5002, 0.4926], [0.2495, 0.2560, 0.2533], [0.2552, 0.7534, 0.7439], [0.5012, 0.5032, 0.9959], [0.5064, 0.0081, 0.5002], [0.7508, 0.2491, 0.7384], [0.7553, 0.7537, 0.2443], [0.1053, 0.3554, 0.8717], [0.1327, 0.1143, 0.6340], [0.1515, 0.8787, 0.3911], [0.3596, 0.1256, 0.8910], [0.3772, 0.9006, 0.1415], [0.3989, 0.6495, 0.3671], [0.6093, 0.1405, 0.1212], [0.6239, 0.3919, 0.3525], [0.6463, 0.6267, 0.6024], [0.8620, 0.3782, 0.0989], [0.8789, 0.6106, 0.8495], [0.8944, 0.8639, 0.6187], [0.1291, 0.6341, 0.1227], [0.3781, 0.3824, 0.6257], [0.6269, 0.8740, 0.8667], [0.8817, 0.1292, 0.3672], [0.0729, 0.3593, 0.1133], [0.0974, 0.5878, 0.8552], [0.1094, 0.3270, 0.6343], [0.1270, 0.8909, 0.6192], [0.1349, 0.8866, 0.1625], [0.1384, 0.1296, 0.8680], [0.1424, 0.1173, 0.4097], [0.1801, 0.6363, 0.3828], [0.3385, 0.3605, 0.8822], [0.3578, 0.1142, 0.6614], [0.3640, 0.9021, 0.9098], [0.3785, 0.1292, 0.1157], [0.3798, 0.8751, 0.3681], [0.3927, 0.6704, 0.1412], [0.4077, 0.4164, 0.3515], [0.4165, 0.6426, 0.6005], [0.5791, 0.1435, 0.8906], [0.6099, 0.1704, 0.3471], [0.6162, 0.6254, 0.3676], [0.6200, 0.9307, 0.1372], [0.6355, 0.3653, 0.1205], [0.6401, 0.3966, 0.5778], [0.6575, 0.6143, 0.8418], [0.6671, 0.8611, 0.6119], [0.8386, 0.1451, 0.1059], [0.8459, 0.3929, 0.3327], [0.8622, 0.6039, 0.0793], [0.8766, 0.3797, 0.8755], [0.8768, 0.6323, 0.6246], [0.8954, 0.8368, 0.8415], [0.8983, 0.0862, 0.6346], [0.9143, 0.8616, 0.4048]]
}

Most stable = x)

w) {
  "formula": "MgMn3BiO8",
  "functional": "GGA+U",
  "state": "optimized geometry",
  "total_magnetization_mub_per_cell": 10.0,
  "rho_g_cm3": 5.0,
  "cell": [[2.9866, 1.7243, 5.6852], [-2.9866, 1.7243, 5.6852], [0.0000, -3.4486, 5.6852]],
  "species": ["Mg", "Mn", "Mn", "Mn", "Bi", "O", "O", "O", "O", "O", "O", "O", "O"],
  "frac_coords": [[0.0000, 0.0000, 0.0000], [0.0000, 0.5000, 0.5000], [0.5000, 0.0000, 0.5000], [0.5000, 0.5000, 0.0000], [0.5000, 0.5000, 0.5000], [0.2375, 0.2375, 0.7123], [0.2375, 0.7123, 0.2375], [0.2774, 0.2774, 0.2774], [0.2877, 0.7625, 0.7625], [0.7123, 0.2375, 0.2375], [0.7226, 0.7226, 0.7226], [0.7625, 0.2877, 0.7625], [0.7625, 0.7625, 0.2877]]
}

x) {
  "formula": "MgMn3BiO8",
  "functional": "GGA+U",
  "state": "optimized geometry",
  "total_magnetization_mub_per_cell": 10.1,
  "rho_g_cm3": 5.0,
  "cell": [[5.3942, -3.0331, 0.0000], [5.3942, 3.0331, 0.0000], [-3.8743, 0.0000, 5.2997]],
  "species": ["Mg", "Mn", "Mn", "Mn", "Bi", "O", "O", "O", "O", "O", "O", "O", "O"],
  "frac_coords": [[0.0000, 0.0000, 0.0000], [0.0000, 0.5000, 0.5000], [0.5000, 0.0000, 0.5000], [0.5000, 0.5000, 0.5000], [0.5000, 0.5000, 0.0000], [0.2148, 0.7276, 0.7341], [0.2458, 0.2458, 0.6865], [0.2538, 0.2538, 0.3075], [0.2724, 0.7852, 0.2659], [0.7276, 0.2148, 0.7341], [0.7462, 0.7462, 0.6925], [0.7542, 0.7542, 0.3135], [0.7852, 0.2724, 0.2659]]
}

y) {
  "formula": "MgMn3BiO8",
  "functional": "GGA+U",
  "state": "optimized geometry",
  "total_magnetization_mub_per_cell": 10.0,
  "rho_g_cm3": 3.6,
  "cell": [[2.9716, 1.7156, 7.8628], [-2.9716, 1.7156, 7.8628], [0.0000, -3.4313, 7.8628]],
  "species": ["Mg", "Mn", "Mn", "Mn", "Bi", "O", "O", "O", "O", "O", "O", "O", "O"],
  "frac_coords": [[0.0000, 0.0000, 0.0000], [0.0700, 0.0700, 0.5765], [0.0700, 0.5765, 0.0700], [0.5765, 0.0700, 0.0700], [0.1298, 0.1298, 0.1298], [0.2571, 0.7991, 0.7991], [0.2780, 0.2780, 0.2780], [0.3414, 0.3414, 0.8783], [0.3414, 0.8783, 0.3414], [0.7991, 0.2571, 0.7991], [0.7991, 0.7991, 0.2571], [0.8637, 0.8637, 0.8637], [0.8783, 0.3414, 0.3414]]
}

Most stable = w)

w) {
  "formula": "Mg6MnBiO8",
  "functional": "GGA+U",
  "state": "optimized geometry",
  "total_magnetization_mub_per_cell": 5.0,
  "rho_g_cm3": 4.8,
  "cell": [[4.5475, 0.0000, 0.0000], [0.0000, 4.5475, 0.0000], [0.0000, 0.0000, 8.9366]],
  "species": ["Mg", "Mg", "Mg", "Mg", "Mg", "Mg", "Mn", "Bi", "O", "O", "O", "O", "O", "O", "O", "O"],
  "frac_coords": [[0.0000, 0.0000, 0.0000], [0.0000, 0.5000, 0.2323], [0.0000, 0.5000, 0.7677], [0.5000, 0.0000, 0.2323], [0.5000, 0.0000, 0.7677], [0.5000, 0.5000, 0.0000], [0.0000, 0.0000, 0.5000], [0.5000, 0.5000, 0.5000], [0.0000, 0.0000, 0.2395], [0.0000, 0.0000, 0.7605], [0.0000, 0.5000, 0.0000], [0.0000, 0.5000, 0.5000], [0.5000, 0.0000, 0.0000], [0.5000, 0.0000, 0.5000], [0.5000, 0.5000, 0.2247], [0.5000, 0.5000, 0.7753]]
}

x) {
  "formula": "Mg6MnBiO8",
  "functional": "GGA+U",
  "state": "optimized geometry",
  "total_magnetization_mub_per_cell": 5.1,
  "rho_g_cm3": 4.8,
  "cell": [[4.5582, 0.0000, 0.0000], [0.0000, 4.5582, 0.0000], [0.0000, 0.0000, 8.9529]],
  "species": ["Mg", "Mg", "Mg", "Mg", "Mg", "Mg", "Mn", "Bi", "O", "O", "O", "O", "O", "O", "O", "O"],
  "frac_coords": [[0.0000, 0.0000, 0.0000], [0.0000, 0.0000, 0.5000], [0.0000, 0.5000, 0.2344], [0.0000, 0.5000, 0.7656], [0.5000, 0.0000, 0.2344], [0.5000, 0.0000, 0.7656], [0.5000, 0.5000, 0.0000], [0.5000, 0.5000, 0.5000], [0.0000, 0.0000, 0.2482], [0.0000, 0.0000, 0.7518], [0.0000, 0.5000, 0.0000], [0.0000, 0.5000, 0.5000], [0.5000, 0.0000, 0.0000], [0.5000, 0.0000, 0.5000], [0.5000, 0.5000, 0.2340], [0.5000, 0.5000, 0.7660]]
}

Most stable = w)